[1]
Computed, not measured: an optimized crystal structure of LaMgVFeO6 at the PBE+U level of DFT.

Lattice parameters (Å, degrees): 5.3664 5.4783 9.4242 90.00 124.64 90.00
Positions (direct):
La  0.0000  0.2091  0.0000
La  0.0000  0.7909  0.5000
Mg  0.5363  0.3048  0.5055
Mg  0.5363  0.6952  0.0055
V  0.2573  0.2558  0.7497
V  0.2573  0.7442  0.2497
Fe  0.7591  0.2496  0.2515
Fe  0.7591  0.7504  0.7515
O  0.1410  0.2293  0.5021
O  0.1410  0.7707  0.0021
O  0.4244  0.2974  0.9977
O  0.4244  0.7026  0.4977
O  0.4956  0.0427  0.3092
O  0.4956  0.9573  0.8092
O  0.5834  0.4747  0.8046
O  0.5834  0.5253  0.3046
O  0.8863  0.0532  0.6911
O  0.8863  0.9468  0.1911
O  0.9810  0.4877  0.1931
O  0.9810  0.5123  0.6931

Values from the calculation:
**Energy relative to the elements**: -2.722 eV per atom


[2]
Computed, not measured: an optimized crystal structure of Na2NiH12S2O14 at the PBE+U level of DFT.

Lattice parameters (Å, degrees): 6.0116 11.9986 8.8820 90.00 103.98 90.00
Positions (direct):
Na  0.1603  0.1450  0.3651
Na  0.1603  0.3550  0.8651
Na  0.8397  0.6450  0.1349
Na  0.8397  0.8550  0.6349
Ni  0.5000  0.0000  0.0000
Ni  0.5000  0.5000  0.5000
H  0.1568  0.5560  0.5972
H  0.1568  0.9440  0.0972
H  0.1649  0.6467  0.4681
H  0.1649  0.8533  0.9681
H  0.1744  0.0865  0.7852
H  0.1744  0.4135  0.2852
H  0.4062  0.1261  0.7470
H  0.4062  0.3739  0.2470
H  0.4348  0.5989  0.2284
H  0.4348  0.9011  0.7284
H  0.4882  0.1895  0.1400
H  0.4882  0.3105  0.6400
H  0.5118  0.6895  0.3600
H  0.5118  0.8105  0.8600
H  0.5652  0.0989  0.2716
H  0.5652  0.4011  0.7716
H  0.5938  0.6261  0.7530
H  0.5938  0.8739  0.2530
H  0.8256  0.5865  0.7148
H  0.8256  0.9135  0.2148
H  0.8351  0.1467  0.0319
H  0.8351  0.3533  0.5319
H  0.8432  0.0560  0.9028
H  0.8432  0.4440  0.4028
S  0.2285  0.6321  0.9138
S  0.2285  0.8679  0.4138
S  0.7715  0.1321  0.5862
S  0.7715  0.3679  0.0862
O  0.0705  0.7291  0.9044
O  0.0705  0.7709  0.4044
O  0.1272  0.5526  0.7854
O  0.1272  0.9474  0.2854
O  0.1931  0.5666  0.4954
O  0.1931  0.9334  0.9954
O  0.2506  0.5729  0.0635
O  0.2506  0.9271  0.5635
O  0.3292  0.1161  0.8330
O  0.3292  0.3839  0.3330
O  0.4490  0.1143  0.1725
O  0.4490  0.3857  0.6725
O  0.4595  0.6711  0.8988
O  0.4595  0.8289  0.3988
O  0.5405  0.1711  0.6012
O  0.5405  0.3289  0.1012
O  0.5510  0.6143  0.3275
O  0.5510  0.8857  0.8275
O  0.6708  0.6161  0.6670
O  0.6708  0.8839  0.1670
O  0.7494  0.0729  0.4365
O  0.7494  0.4271  0.9365
O  0.8069  0.0666  0.0046
O  0.8069  0.4334  0.5046
O  0.8728  0.0526  0.7146
O  0.8728  0.4474  0.2146
O  0.9295  0.2291  0.5956
O  0.9295  0.2709  0.0956

Values from the calculation:
**Energy relative to the elements**: -1.568 eV per atom


[3]
Computed, not measured: an optimized crystal structure of Sr5FeMo4O15 at the PBE+U level of DFT.

Lattice parameters (Å, degrees): 9.0711 9.0711 7.0051 104.95 104.95 37.04
Positions (direct):
Sr  0.0000  0.0000  0.0000
Sr  0.1918  0.1918  0.7852
Sr  0.4058  0.4058  0.5915
Sr  0.5942  0.5942  0.4085
Sr  0.8082  0.8082  0.2148
Fe  0.0000  0.0000  0.5000
Mo  0.1986  0.1986  0.2982
Mo  0.4004  0.4004  0.0996
Mo  0.5996  0.5996  0.9004
Mo  0.8014  0.8014  0.7018
O  0.0000  0.5000  0.5000
O  0.0982  0.0982  0.4041
O  0.0976  0.6047  0.8989
O  0.1988  0.7019  0.2967
O  0.2981  0.8012  0.7033
O  0.3033  0.3033  0.1964
O  0.3953  0.9024  0.1011
O  0.5000  0.0000  0.5000
O  0.5000  0.5000  0.0000
O  0.6047  0.0976  0.8989
O  0.6967  0.6967  0.8036
O  0.7019  0.1988  0.2967
O  0.8012  0.2981  0.7033
O  0.9024  0.3953  0.1011
O  0.9018  0.9018  0.5959

Values from the calculation:
**Energy relative to the elements**: -2.533 eV per atom